Compound: LuAgS2
Source: Materials Project
Functional: meta-GGA r2SCAN
Structure: optimized geometry

The space group is I4_1/amd (No. 141, origin choice 2) and the conventional cell measures 5.327, 5.327 and 11.792 Å, with angles of 90.00, 90.00 and 90.00 degrees. The distinct sites, in fractional coordinates, are Lu at (0.000, 0.250, 0.375), Ag at (0.000, 0.250, 0.875) and S at (0.000, 0.250, 0.149).

The energy relative to the elements comes out at -1513 meV/atom. Its spin magnetization is 0.00 μB per cell. The volume is 334.6 Å³ per cell. The crystal system is tetragonal.